# 1
Compound: KUCrO6
Source: Materials Project
Functional: PBE with a Hubbard U
Structure: relaxed

abc: 6.8511 8.4168 10.5475
angles: 90.00 103.69 90.00
Last column: nearest neighbours and their distance in Å.
Space group P2_1/c (No. 14)
Asymmetric unit:
K 0.0366 0.2360 0.3505 x4  3 O 2.76-2.95
U 0.4863 0.0211 0.1773 x4  2 O 1.84
Cr 0.3834 0.6431 0.9472 x4  1 O 1.61
O 0.1471 0.6338 0.9432 x4  1 Cr 1.61
O 0.2153 0.0627 0.1270 x4  1 U 1.84
O 0.2427 0.0197 0.7666 x4  1 U 1.84
O 0.4184 0.7093 0.7872 x4  1 Cr 1.85
O 0.4543 0.0625 0.3954 x4  2 Cr 1.89-1.91
O 0.4703 0.6565 0.5080 x4  1 Cr 1.85

The electronic total energy comes out at -7.834 eV/atom.

# 2
Compound: LaMgCrMoO6
Source: Materials Project
Functional: PBE with a Hubbard U
Structure: relaxed

abc: 5.4283 5.5159 5.5604
angles: 60.93 60.99 61.04
Last column: nearest neighbours and their distance in Å.
Space group P1 (No. 1)
Asymmetric unit:
La 0.0000 0.0000 0.0000 x1  3 O 2.24-2.42
Mg 0.5452 0.4909 0.5165 x1  4 O 2.12-2.24
Cr 0.7629 0.7518 0.7475 x1  6 O 2.01-2.09
Mo 0.2620 0.2522 0.2521 x1  6 O 2.03-2.14
O 0.1525 0.5007 0.5092 x1  1 Cr 2.09, 1 Mg 2.13, 1 Mo 2.14
O 0.4166 0.0069 0.9851 x1  1 Cr 2.02, 1 Mo 2.09, 1 La 2.24
O 0.5392 0.9027 0.4700 x1  1 Mo 2.03, 1 Cr 2.03, 1 Mg 2.14
O 0.5751 0.4385 0.9288 x1  1 Cr 2.01, 1 Mo 2.03, 1 Mg 2.24
O 0.9108 0.0962 0.5397 x1  1 Cr 2.01, 1 Mo 2.06, 1 Mg 2.12
O 0.9378 0.5697 0.0663 x1  1 Cr 2.01, 1 Mo 2.06

As for the polymorph energy (0 for the lowest one): 0.033 eV per atom.

Number 1: M_tot 4.0 μB per cell. Number 2: M_tot 5.0 μB per cell.